Material: Sb4IrC5ClO5F22
Method: DFT, PBE-GGA
State: relaxed

a = 9.888 Å, b = 12.831 Å, c = 10.780 Å
α = 90.00°, β = 106.57°, γ = 90.00°
Space group P2_1 (No. 4)
Asymmetric unit:
Sb  0.152  0.000  0.256
Sb  0.241  0.839  0.968
Sb  0.259  0.584  0.508
Sb  0.331  0.400  0.231
Ir  0.241  0.206  0.754
C  0.085  0.183  0.832
C  0.114  0.257  0.585
C  0.231  0.062  0.680
C  0.269  0.354  0.818
C  0.385  0.157  0.915
Cl  0.428  0.229  0.659
O  0.003  0.671  0.120
O  0.044  0.285  0.488
O  0.230  0.982  0.634
O  0.286  0.437  0.854
O  0.467  0.129  0.006
F  0.012  0.547  0.870
F  0.034  0.894  0.299
F  0.051  0.802  0.890
F  0.071  0.560  0.395
F  0.132  0.092  0.388
F  0.169  0.888  0.120
F  0.176  0.477  0.130
F  0.185  0.646  0.635
F  0.202  0.980  0.903
F  0.213  0.322  0.306
F  0.252  0.447  0.577
F  0.261  0.708  0.414
F  0.264  0.088  0.184
F  0.279  0.709  0.054
F  0.307  0.801  0.826
F  0.313  0.935  0.367
F  0.321  0.305  0.090
F  0.337  0.512  0.373
F  0.423  0.887  0.066
F  0.450  0.599  0.605
F  0.457  0.492  0.178
F  0.491  0.339  0.349

Summary:
Crystal system: monoclinic
Formation energy in eV per atom: -2.107
Volume in Å³/cell: 1311
E in eV/atom: -5.4389



Material: Na15Y2C9SClO30F
Method: DFT, PBE-GGA
State: relaxed

a = 8.9018 Å, b = 8.9018 Å, c = 10.8298 Å
α = 90.00°, β = 90.00°, γ = 120.00°
Space group P3 (No. 143)
Asymmetric unit:
Na  0.0000  0.0000  0.0000
Na  0.0000  0.0000  0.3995
Na  0.0496  0.3575  0.1970
Na  0.1036  0.6824  0.4575
Na  0.1070  0.6791  0.9328
Na  0.2208  0.2056  0.7000
Na  0.6667  0.3333  0.6989
Y  0.6667  0.3333  0.0213
Y  0.6667  0.3333  0.3760
C  0.3102  0.2616  0.1992
C  0.3506  0.0829  0.4983
C  0.3507  0.0874  0.9004
S  0.3333  0.6667  0.6547
Cl  0.3333  0.6667  0.2499
O  0.0061  0.7718  0.3019
O  0.0125  0.7669  0.0957
O  0.0197  0.2214  0.8548
O  0.0232  0.2246  0.5442
O  0.1571  0.6362  0.6841
O  0.4204  0.0392  0.4088
O  0.4197  0.0484  0.9930
O  0.4409  0.2439  0.5377
O  0.4423  0.2466  0.8571
O  0.4766  0.3044  0.2004
F  0.3333  0.6667  0.9054

Summary:
Crystal system: trigonal
Formation energy in eV per atom: -2.232
Volume in Å³/cell: 743
E in eV/atom: -6.4883



Material: SbCSCl2F9
Method: DFT, PBE-GGA
State: relaxed

a = 8.028 Å, b = 9.808 Å, c = 12.750 Å
α = 90.00°, β = 100.38°, γ = 90.00°
Space group P2_1/c (No. 14)
Asymmetric unit:
Sb  0.197  0.249  0.067
C  0.380  0.674  0.627
S  0.175  0.677  0.700
Cl  0.185  0.631  0.248
Cl  0.262  0.570  0.830
F  0.027  0.705  0.009
F  0.111  0.077  0.107
F  0.140  0.171  0.693
F  0.244  0.170  0.938
F  0.283  0.078  0.529
F  0.325  0.620  0.531
F  0.418  0.200  0.141
F  0.433  0.699  0.119
F  0.498  0.597  0.684

Summary:
Crystal system: monoclinic
Formation energy in eV per atom: -1.903
Volume in Å³/cell: 987
E in eV/atom: -4.3509



Material: CSeCl3F3
Method: DFT, PBE-GGA
State: relaxed

a = 7.740 Å, b = 19.530 Å, c = 19.690 Å
α = 90.00°, β = 90.00°, γ = 90.00°
Space group Pbca (No. 61)
Asymmetric unit:
C  0.095  0.197  0.089
C  0.179  0.577  0.597
Se  0.090  0.743  0.343
Se  0.092  0.066  0.658
Cl  0.016  0.527  0.099
Cl  0.057  0.659  0.267
Cl  0.084  0.644  0.922
Cl  0.145  0.184  0.722
Cl  0.195  0.193  0.401
Cl  0.247  0.010  0.739
F  0.060  0.218  0.026
F  0.081  0.627  0.622
F  0.082  0.129  0.093
F  0.091  0.518  0.598
F  0.225  0.591  0.533
F  0.246  0.717  0.107

Summary:
Crystal system: orthorhombic
Formation energy in eV per atom: -1.069
Volume in Å³/cell: 2976
E in eV/atom: -3.8976



Material: SiCCl3F3
Method: DFT, PBE-GGA
State: relaxed

a = 12.079 Å, b = 9.702 Å, c = 6.483 Å
α = 90.00°, β = 92.60°, γ = 90.00°
Space group C2/m (No. 12)
Asymmetric unit:
Si  0.193  0.000  0.182
C  0.149  0.500  0.742
Cl  0.127  0.172  0.303
Cl  0.175  0.000  0.870
F  0.097  0.387  0.816
F  0.131  0.500  0.532

Summary:
Crystal system: monoclinic
Formation energy in eV per atom: -1.559
Volume in Å³/cell: 759
E in eV/atom: -4.6285



Material: TeC6Cl2F14
Method: DFT, PBE-GGA
State: relaxed

a = 19.862 Å, b = 9.407 Å, c = 8.388 Å
α = 90.00°, β = 106.07°, γ = 90.00°
Space group C2/c (No. 15)
Asymmetric unit:
Te  0.000  0.139  0.250
C  0.079  0.312  0.215
C  0.145  0.237  0.191
C  0.212  0.333  0.216
Cl  0.057  0.160  0.554
F  0.049  0.393  0.082
F  0.096  0.396  0.351
F  0.129  0.183  0.034
F  0.162  0.127  0.302
F  0.197  0.446  0.113
F  0.235  0.380  0.374
F  0.237  0.244  0.819

Summary:
Crystal system: monoclinic
Formation energy in eV per atom: -1.547
Volume in Å³/cell: 1506
E in eV/atom: -5.1362